Li2Ti4NiP4O20: optimized geometry, PBE+U.

Summary:
E = -7.6513 eV/atom
space-group type = P-1 (2)
mass density = 3321 kg/m³
offset from the most stable computed form = 0.005 eV/atom

Unit cell a=6.4534 b=7.3341 c=7.4785 alpha=90.17 beta=90.12 gamma=90.70
Closest atoms and distances in Å follow each position.
Atoms (fractional coordinates):
Li  0.0000  0.0000  0.0000  6 O 2.06-2.24
Li  0.0000  0.5000  0.5000  6 O 2.08-2.22
Ti  0.2447  0.2854  0.8304  1 O 1.70
Ti  0.2612  0.2284  0.3400  3 O 1.78-1.94
Ti  0.7388  0.7716  0.6600  3 O 1.78-1.94
Ti  0.7553  0.7146  0.1696  1 O 1.70
Ni  0.5000  0.0000  0.0000  6 O 2.06-2.17
P  0.2461  0.6265  0.1243  4 O 1.54-1.56
P  0.2486  0.8754  0.6269  4 O 1.53-1.59
P  0.7514  0.1246  0.3731  4 O 1.53-1.59
P  0.7539  0.3735  0.8757  4 O 1.54-1.56
O  0.0545  0.7526  0.6365  1 P 1.54
O  0.0571  0.7545  0.1224  1 P 1.55
O  0.2320  0.3402  0.6095  1 Ti 1.70
O  0.2387  0.4990  0.2867  1 P 1.54
O  0.2461  0.9932  0.4573  1 P 1.54
O  0.2496  0.5172  0.9471  1 P 1.55
O  0.2565  0.0023  0.7991  1 P 1.59
O  0.2644  0.1467  0.1154  1 Ti 1.78
O  0.4419  0.7559  0.6292  1 P 1.53
O  0.4429  0.7522  0.1305  1 P 1.56
O  0.5571  0.2478  0.8695  1 P 1.56
O  0.5581  0.2441  0.3708  1 P 1.53
O  0.7356  0.8533  0.8846  1 Ti 1.78
O  0.7435  0.9977  0.2009  1 P 1.59
O  0.7504  0.4828  0.0529  1 P 1.55
O  0.7539  0.0068  0.5427  1 P 1.54
O  0.7613  0.5010  0.7133  1 P 1.54
O  0.7680  0.6598  0.3905  1 Ti 1.70
O  0.9429  0.2455  0.8776  1 P 1.55
O  0.9455  0.2474  0.3635  1 P 1.54

***

LiMn3B3O9: optimized geometry, PBE+U.

Summary:
E = -7.5721 eV/atom
space-group type = P1 (1)
mass density = 3099 kg/m³
offset from the most stable computed form = 0.006 eV/atom

Unit cell a=5.7868 b=8.1804 c=9.1587 alpha=110.47 beta=105.14 gamma=100.73
Closest atoms and distances in Å follow each position.
Atoms (fractional coordinates):
Li  0.0000  0.0000  0.0000  3 O 1.94-2.07
Li  0.3544  0.3385  0.6743  4 O 1.91-2.05
Mn  0.0780  0.6438  0.9001  5 O 2.05-2.21
Mn  0.3038  0.3492  0.9930  5 O 1.95-2.14
Mn  0.4281  0.9914  0.5817  5 O 2.04-2.25
Mn  0.6121  0.6715  0.6293  5 O 1.97-2.15
Mn  0.7527  0.3144  0.2605  4 O 1.90-2.07
Mn  0.9278  0.9862  0.3275  4 O 1.89-2.06
B  0.0718  0.6396  0.5526  3 O 1.35-1.40
B  0.2832  0.3400  0.3344  3 O 1.37-1.41
B  0.3896  0.9767  0.2308  3 O 1.34-1.43
B  0.6217  0.6849  0.9850  3 O 1.36-1.41
B  0.7574  0.3201  0.9097  3 O 1.35-1.41
B  0.9686  0.0288  0.6764  3 O 1.37-1.40
O  0.0094  0.4339  0.9896  1 B 1.41
O  0.0383  0.2155  0.2442  1 B 1.41
O  0.0717  0.0973  0.8461  1 B 1.37
O  0.0898  0.0896  0.5825  1 B 1.40
O  0.2620  0.9559  0.3366  1 B 1.40
O  0.2801  0.9087  0.0649  1 B 1.34
O  0.3182  0.7600  0.6346  1 B 1.40
O  0.3780  0.4188  0.5049  1 B 1.37
O  0.3967  0.5363  0.8998  1 B 1.41
O  0.4287  0.3677  0.2411  1 B 1.39
O  0.6249  0.2938  0.0118  1 B 1.40
O  0.6422  0.2541  0.7426  1 B 1.35
O  0.6440  0.0923  0.3132  1 B 1.43
O  0.7120  0.7594  0.1547  1 B 1.36
O  0.7410  0.8884  0.5893  1 B 1.39
O  0.7455  0.7402  0.8923  1 B 1.38
O  0.9324  0.6145  0.6508  1 B 1.40
O  0.9760  0.5581  0.3839  1 B 1.35

***

NaCo4BiO12: optimized geometry, PBE+U.

Summary:
E = -5.2123 eV/atom
space-group type = Amm2 (38)
mass density = 5472 kg/m³

Unit cell a=7.2473 b=5.2667 c=5.2667 alpha=84.83 beta=90.00 gamma=90.00
Closest atoms and distances in Å follow each position.
Atoms (fractional coordinates):
Na  0.0000  0.0000  0.0000  4 O 2.22-2.24
Co  0.2453  0.4897  0.9775  5 O 1.81-1.93
Co  0.2453  0.9775  0.4897  5 O 1.81-1.93
Co  0.7547  0.4897  0.9775  5 O 1.81-1.93
Co  0.7547  0.9775  0.4897  5 O 1.81-1.93
Bi  0.5000  0.4757  0.4757  8 O 2.21-2.35
O  0.0000  0.0259  0.4225  2 Co 1.83
O  0.0000  0.4225  0.0259  2 Co 1.83
O  0.1884  0.7750  0.7750  2 Co 1.81
O  0.2700  0.2847  0.6931  2 Co 1.93-2.03
O  0.2700  0.6931  0.2847  2 Co 1.93-2.03
O  0.3233  0.2238  0.2238  2 Co 1.91
O  0.5000  0.5562  0.9065  2 Co 1.91
O  0.5000  0.9065  0.5562  2 Co 1.91
O  0.6767  0.2238  0.2238  2 Co 1.91
O  0.7300  0.2847  0.6931  2 Co 1.93-2.03
O  0.7300  0.6931  0.2847  2 Co 1.93-2.03
O  0.8116  0.7750  0.7750  2 Co 1.81

***

MnI2O4: optimized geometry, PBE+U.

Summary:
E = -4.7522 eV/atom
space-group type = P2_1/c (14)
mass density = 4482 kg/m³
offset from the most stable computed form = 0.000 eV/atom

Unit cell a=6.1660 b=7.5398 c=6.7506 alpha=90.00 beta=118.34 gamma=90.00
Closest atoms and distances in Å follow each position.
Atoms (fractional coordinates):
Mn  0.0000  0.0000  0.0000  4 O 1.88-1.89
Mn  0.0000  0.5000  0.5000  4 O 1.88-1.89
I  0.3559  0.0608  0.6075  2 O 2.00-2.03
I  0.3559  0.4392  0.1075  2 O 2.00-2.03
I  0.6441  0.5608  0.8925  2 O 2.00-2.03
I  0.6441  0.9392  0.3925  2 O 2.00-2.03
O  0.0632  0.0595  0.2944  1 Mn 1.89, 1 I 2.03
O  0.0632  0.4405  0.7944  1 Mn 1.89, 1 I 2.03
O  0.3223  0.5869  0.6118  1 Mn 1.88, 1 I 2.00
O  0.3223  0.9131  0.1118  1 Mn 1.88, 1 I 2.00
O  0.6777  0.0869  0.8882  1 Mn 1.88, 1 I 2.00
O  0.6777  0.4131  0.3882  1 Mn 1.88, 1 I 2.00
O  0.9368  0.5595  0.2056  1 Mn 1.89, 1 I 2.03
O  0.9368  0.9405  0.7056  1 Mn 1.89, 1 I 2.03